No. 1
Below is crystalline NaCu3GeSe4 at its relaxed geometry, with properties calculated at the GGA-PBE level.

Properties
DFT total energy ... -34.0 eV/f.u.
Energy of formation from the pure elements ... -405 meV/atom

Cell lengths 5.9899, 5.9899, 5.9899 Å; angles 90.00, 90.00, 90.00 degrees
Fractional positions:
Na  0.0000  0.0000  0.0000
Cu  0.0000  0.5000  0.5000
Cu  0.5000  0.0000  0.5000
Cu  0.5000  0.5000  0.0000
Ge  0.5000  0.5000  0.5000
Se  0.2699  0.2699  0.7301
Se  0.2699  0.7301  0.2699
Se  0.7301  0.2699  0.2699
Se  0.7301  0.7301  0.7301

=====

No. 2
Below is crystalline La2Cd17 at its relaxed geometry, with properties calculated at the GGA-PBE level.

Properties
DFT total energy ... -28.8 eV/f.u.
Energy of formation from the pure elements ... -169 meV/atom

Cell lengths 10.2025, 10.2025, 10.0354 Å; angles 90.00, 90.00, 120.00 degrees
Fractional positions:
La  0.0000  0.0000  0.2500
La  0.0000  0.0000  0.7500
La  0.3333  0.6667  0.2500
La  0.6667  0.3333  0.7500
Cd  0.0000  0.5000  0.0000
Cd  0.0000  0.5000  0.5000
Cd  0.0386  0.3659  0.7500
Cd  0.0386  0.6727  0.7500
Cd  0.1602  0.3204  0.0287
Cd  0.1602  0.3204  0.4713
Cd  0.1602  0.8398  0.0287
Cd  0.1602  0.8398  0.4713
Cd  0.3204  0.1602  0.5287
Cd  0.3204  0.1602  0.9713
Cd  0.3273  0.3659  0.7500
Cd  0.3273  0.9614  0.7500
Cd  0.3333  0.6667  0.5985
Cd  0.3333  0.6667  0.9015
Cd  0.3659  0.0386  0.2500
Cd  0.3659  0.3273  0.2500
Cd  0.5000  0.0000  0.0000
Cd  0.5000  0.0000  0.5000
Cd  0.5000  0.5000  0.0000
Cd  0.5000  0.5000  0.5000
Cd  0.6341  0.6727  0.7500
Cd  0.6341  0.9614  0.7500
Cd  0.6667  0.3333  0.0985
Cd  0.6667  0.3333  0.4015
Cd  0.6727  0.0386  0.2500
Cd  0.6727  0.6341  0.2500
Cd  0.6796  0.8398  0.0287
Cd  0.6796  0.8398  0.4713
Cd  0.8398  0.1602  0.5287
Cd  0.8398  0.1602  0.9713
Cd  0.8398  0.6796  0.5287
Cd  0.8398  0.6796  0.9713
Cd  0.9614  0.3273  0.2500
Cd  0.9614  0.6341  0.2500

=====

No. 3
Below is crystalline K2HgSbBr6 at its relaxed geometry, with properties calculated at the GGA-PBE level.

Properties
DFT total energy ... -26.2 eV/f.u.
Energy of formation from the pure elements ... -1290 meV/atom

Cell lengths 8.1518, 8.1518, 8.1518 Å; angles 60.00, 60.00, 60.00 degrees
Fractional positions:
K  0.2500  0.2500  0.2500
K  0.7500  0.7500  0.7500
Hg  0.0000  0.0000  0.0000
Sb  0.5000  0.5000  0.5000
Br  0.2566  0.2566  0.7434
Br  0.2566  0.7434  0.2566
Br  0.2566  0.7434  0.7434
Br  0.7434  0.2566  0.2566
Br  0.7434  0.2566  0.7434
Br  0.7434  0.7434  0.2566

=====

No. 4
Below is crystalline YBrO at its relaxed geometry, with properties calculated at the GGA-PBE level.

Properties
DFT total energy ... -21.8 eV/f.u.
Energy of formation from the pure elements ... -3140 meV/atom

Cell lengths 10.3466, 10.3466, 10.3466 Å; angles 21.54, 21.54, 21.54 degrees
Fractional positions:
Y  0.2139  0.2139  0.2139
Y  0.7861  0.7861  0.7861
Br  0.3888  0.3888  0.3888
Br  0.6112  0.6112  0.6112
O  0.1382  0.1382  0.1382
O  0.8618  0.8618  0.8618

=====

No. 5
Below is crystalline V3Cu4S8 at its relaxed geometry, with properties calculated at the GGA-PBE level.

Properties
DFT total energy ... -83.9 eV/f.u.
Energy of formation from the pure elements ... -745 meV/atom

Cell lengths 7.2872, 7.2872, 7.2872 Å; angles 60.63, 60.63, 60.63 degrees
Fractional positions:
V  0.1723  0.1723  0.6554
V  0.1723  0.6554  0.1723
V  0.6554  0.1723  0.1723
Cu  0.4210  0.4210  0.8839
Cu  0.4210  0.8839  0.4210
Cu  0.7942  0.7942  0.7942
Cu  0.8839  0.4210  0.4210
S  0.0188  0.5510  0.5510
S  0.0356  0.0356  0.5605
S  0.0356  0.5605  0.0356
S  0.0413  0.0413  0.0413
S  0.5162  0.5162  0.5162
S  0.5510  0.0188  0.5510
S  0.5510  0.5510  0.0188
S  0.5605  0.0356  0.0356

=====

No. 6
Below is crystalline MnCuP at its relaxed geometry, with properties calculated at the GGA-PBE level.

Properties
DFT total energy ... -19.1 eV/f.u.
Energy of formation from the pure elements ... -156 meV/atom

Cell lengths 5.9397, 3.5001, 7.2470 Å; angles 90.00, 90.00, 90.00 degrees
Fractional positions:
Mn  0.0325  0.2500  0.1614
Mn  0.4675  0.7500  0.6614
Mn  0.5325  0.2500  0.3386
Mn  0.9675  0.7500  0.8386
Cu  0.1364  0.2500  0.5649
Cu  0.3636  0.7500  0.0649
Cu  0.6364  0.2500  0.9351
Cu  0.8636  0.7500  0.4351
P  0.2464  0.2500  0.8668
P  0.2536  0.7500  0.3668
P  0.7464  0.2500  0.6332
P  0.7536  0.7500  0.1332

=====

No. 7
Below is crystalline Sb5IO7 at its relaxed geometry, with properties calculated at the GGA-PBE level.

Properties
DFT total energy ... -71.7 eV/f.u.
Energy above the most stable polymorph in this dataset ... 0.090 eV per atom
Energy of formation from the pure elements ... -1517 meV/atom

Cell lengths 7.3168, 12.3106, 13.8345 Å; angles 90.00, 104.22, 90.00 degrees
Fractional positions:
Sb  0.0000  0.1745  0.0000
Sb  0.0000  0.8255  0.5000
Sb  0.0562  0.2272  0.5572
Sb  0.0562  0.7728  0.0572
Sb  0.2993  0.4142  0.9786
Sb  0.2993  0.5858  0.4786
Sb  0.3817  0.2776  0.4008
Sb  0.3817  0.7224  0.9008
Sb  0.4114  0.2043  0.8232
Sb  0.4114  0.7957  0.3232
Sb  0.4514  0.0389  0.0533
Sb  0.4514  0.9611  0.5533
Sb  0.6210  0.2658  0.6616
Sb  0.6210  0.7342  0.1616
Sb  0.6634  0.3065  0.1531
Sb  0.6634  0.6935  0.6531
Sb  0.7029  0.0552  0.3712
Sb  0.7029  0.9448  0.8712
Sb  0.7631  0.4348  0.3967
Sb  0.7631  0.5652  0.8967
I  0.0791  0.0918  0.2038
I  0.0791  0.9082  0.7038
I  0.9669  0.4418  0.7218
I  0.9669  0.5582  0.2218
O  0.0850  0.3250  0.0037
O  0.0850  0.6750  0.5037
O  0.2217  0.1081  0.9664
O  0.2217  0.8919  0.4664
O  0.3253  0.2390  0.5386
O  0.3253  0.7610  0.0386
O  0.4441  0.4054  0.1181
O  0.4441  0.5946  0.6181
O  0.4746  0.3008  0.9451
O  0.4747  0.3376  0.7437
O  0.4747  0.6624  0.2437
O  0.4746  0.6992  0.4451
O  0.5327  0.1629  0.1452
O  0.5327  0.8371  0.6452
O  0.5397  0.1466  0.4321
O  0.5397  0.8534  0.9321
O  0.5820  0.3793  0.4759
O  0.5820  0.6207  0.9759
O  0.5876  0.0713  0.9428
O  0.5876  0.9287  0.4428
O  0.6295  0.1471  0.7650
O  0.6295  0.8529  0.2650
O  0.6501  0.3188  0.2974
O  0.6501  0.6812  0.7974
O  0.9421  0.0998  0.4708
O  0.9421  0.9002  0.9708
O  0.9881  0.3441  0.4570
O  0.9881  0.6559  0.9570

=====

No. 8
Below is crystalline Na7Si5Ge4PO24 at its relaxed geometry, with properties calculated at the GGA-PBE level.

Properties
DFT total energy ... -267.7 eV/f.u.
Energy of formation from the pure elements ... -2564 meV/atom

Cell lengths 8.7356, 8.7456, 21.5437 Å; angles 89.50, 89.65, 60.07 degrees
Fractional positions:
Na  0.0000  0.0000  0.0000
Na  0.0007  0.6213  0.2487
Na  0.0094  0.6215  0.7489
Na  0.0363  0.9298  0.6653
Na  0.2993  0.6685  0.1667
Na  0.3263  0.9745  0.0846
Na  0.3317  0.5973  0.8328
Na  0.3333  0.3322  0.3329
Na  0.3393  0.9741  0.5832
Na  0.3661  0.6365  0.5012
Na  0.3676  0.2627  0.9999
Na  0.6302  0.6329  0.0000
Na  0.6646  0.6674  0.6664
Na  0.6664  0.2903  0.4181
Na  0.6658  0.2987  0.9167
Na  0.6672  0.9298  0.1654
Na  0.7014  0.9652  0.8339
Na  0.7021  0.5960  0.3331
Na  0.9645  0.3345  0.8332
Na  0.9655  0.9651  0.3342
Na  0.9971  0.2653  0.4988
Si  0.9998  0.3437  0.9998
Si  0.0455  0.9653  0.8332
Si  0.0485  0.2503  0.3336
Si  0.2832  0.6333  0.0004
Si  0.3323  0.6791  0.3333
Si  0.3330  0.2507  0.8326
Si  0.3744  0.2994  0.1670
Si  0.3776  0.5828  0.6662
Si  0.6183  0.6812  0.8330
Si  0.6182  0.9661  0.3332
Si  0.6704  0.5840  0.1667
Si  0.7107  0.6398  0.5008
Si  0.7141  0.9182  0.0006
Si  0.9603  0.2987  0.6668
Si  0.9931  0.9219  0.5001
Ge  0.0019  0.6191  0.1030
Ge  0.0057  0.6259  0.6031
Ge  0.3284  0.9684  0.7297
Ge  0.3324  0.9663  0.9372
Ge  0.3357  0.9618  0.4368
Ge  0.3357  0.9686  0.2302
Ge  0.6612  0.3016  0.0629
Ge  0.6631  0.3051  0.2710
Ge  0.6630  0.3057  0.7706
Ge  0.6743  0.2978  0.5636
Ge  0.9947  0.6364  0.3957
Ge  0.9987  0.6320  0.8960
P  0.2898  0.3421  0.5000
P  0.6613  0.0185  0.6666
P  0.9537  0.0167  0.1669
O  0.0262  0.7885  0.8387
O  0.0279  0.4474  0.3397
O  0.0414  0.7914  0.5608
O  0.0506  0.4249  0.0585
O  0.1255  0.0120  0.8941
O  0.1271  0.1270  0.3961
O  0.1405  0.9941  0.1711
O  0.1524  0.1180  0.6719
O  0.1562  0.6785  0.0616
O  0.1576  0.4478  0.8384
O  0.1575  0.6553  0.3393
O  0.1659  0.4249  0.5566
O  0.1724  0.9178  0.7720
O  0.1720  0.9433  0.4957
O  0.1759  0.1477  0.9943
O  0.1771  0.6124  0.6608
O  0.1807  0.1651  0.2745
O  0.1844  0.4832  0.1614
O  0.2028  0.5879  0.9392
O  0.2122  0.4602  0.4407
O  0.2864  0.1647  0.7743
O  0.2863  0.8067  0.2720
O  0.3009  0.1614  0.4950
O  0.3046  0.8092  0.9951
O  0.3624  0.1187  0.1719
O  0.3632  0.7794  0.6707
O  0.3775  0.7594  0.3943
O  0.3790  0.1268  0.8953
O  0.4621  0.3399  0.2278
O  0.4619  0.4653  0.7291
O  0.4718  0.3293  0.5065
O  0.4806  0.4566  0.0053
O  0.4842  0.0160  0.3920
O  0.4882  0.7807  0.1714
O  0.4922  0.7625  0.8944
O  0.4983  0.9938  0.6710
O  0.5040  0.2543  0.1058
O  0.5055  0.4973  0.6053
O  0.5083  0.4820  0.3288
O  0.5111  0.2697  0.8272
O  0.5122  0.8122  0.4953
O  0.5177  0.9375  0.9957
O  0.5362  0.8067  0.7714
O  0.5428  0.9173  0.2715
O  0.6263  0.5004  0.1059
O  0.6313  0.1349  0.6091
O  0.6392  0.4837  0.8288
O  0.6432  0.1400  0.3262
O  0.6894  0.4603  0.5053
O  0.6947  0.1148  0.0060
O  0.7008  0.0951  0.7256
O  0.7041  0.4656  0.2293
O  0.7988  0.7916  0.0618
O  0.8006  0.6677  0.5626
O  0.8150  0.6612  0.8378
O  0.8152  0.7897  0.3387
O  0.8189  0.1200  0.5058
O  0.8236  0.3230  0.0069
O  0.8299  0.3415  0.7276
O  0.8296  0.8320  0.6626
O  0.8348  0.0977  0.2251
O  0.8390  0.8373  0.9390
O  0.8409  0.5884  0.4398
O  0.8416  0.6135  0.1618
O  0.8480  0.1407  0.8262
O  0.8517  0.2696  0.3277
O  0.8712  0.1275  0.1074
O  0.8769  0.2535  0.6059
O  0.9515  0.4708  0.9380
O  0.9658  0.8334  0.4377
O  0.9690  0.4812  0.6606
O  0.9710  0.8313  0.1637